Run 1
First-principles (PBE+U) data for a relaxed Li3Fe2Si2O8 crystal, as listed in the Materials Project database.

Unit cell a=5.2611 b=5.2983 c=6.4791 alpha=91.41 beta=90.31 gamma=91.58
Last column: nearest neighbours and their distance in Å.
Space group P1 (No. 1)
Unique sites:
Li: 0.0000 0.0000 0.0000 (multiplicity 1)  3 O 1.87-2.06
Li: 0.1161 0.5241 0.2500 (multiplicity 1)  4 O 2.00-2.22
Li: 0.6193 0.3805 0.4986 (multiplicity 1)  4 O 1.98-2.08
Fe: 0.6257 0.3689 0.9900 (multiplicity 1)  4 O 1.88-1.94
Fe: 0.9941 0.0088 0.5118 (multiplicity 1)  4 O 1.96-2.07
Si: 0.1292 0.5212 0.7449 (multiplicity 1)  4 O 1.61-1.69
Si: 0.4886 0.8817 0.2510 (multiplicity 1)  4 O 1.61-1.69
O: 0.0088 0.4000 0.5268 (multiplicity 1)  1 Si 1.65
O: 0.0804 0.8204 0.7581 (multiplicity 1)  1 Si 1.61
O: 0.1763 0.8990 0.2485 (multiplicity 1)  1 Si 1.65
O: 0.4344 0.4532 0.7579 (multiplicity 1)  1 Si 1.66
O: 0.5352 0.5675 0.2300 (multiplicity 1)  1 Si 1.69
O: 0.6128 0.0082 0.4582 (multiplicity 1)  1 Si 1.61
O: 0.6152 0.0217 0.0493 (multiplicity 1)  1 Si 1.65
O: 0.9915 0.3914 0.9537 (multiplicity 1)  1 Si 1.69

Results
Calculated density, kg/m³: 2914
Total moment, μB per cell: 1.00

***

Run 2
First-principles (PBE+U) data for a relaxed Li3Fe2Si2O8 crystal, as listed in the Materials Project database.

Unit cell a=5.0689 b=11.0815 c=6.1868 alpha=90.00 beta=90.09 gamma=90.00
Last column: nearest neighbours and their distance in Å.
Space group P2_1 (No. 4)
Unique sites:
Li: 0.0637 0.0000 0.2521 (multiplicity 2)  4 O 1.92-2.09
Li: 0.0811 0.0061 0.7465 (multiplicity 2)  3 O 1.89-2.01
Li: 0.4301 0.1730 0.2604 (multiplicity 2)  4 O 1.94-2.05
Fe: 0.0887 0.7499 0.4830 (multiplicity 2)  4 O 1.97-2.14
Fe: 0.4304 0.4144 0.0015 (multiplicity 2)  4 O 1.89-1.96
Si: 0.0705 0.7462 0.9930 (multiplicity 2)  4 O 1.62-1.70
Si: 0.4143 0.4194 0.4961 (multiplicity 2)  4 O 1.63-1.71
O: 0.0077 0.1718 0.7915 (multiplicity 2)  1 Si 1.62
O: 0.0390 0.1761 0.2232 (multiplicity 2)  1 Si 1.64
O: 0.0526 0.3888 0.9982 (multiplicity 2)  1 Si 1.70
O: 0.0905 0.4247 0.4980 (multiplicity 2)  1 Si 1.64
O: 0.3950 0.7645 0.9765 (multiplicity 2)  1 Si 1.66
O: 0.4737 0.9890 0.2755 (multiplicity 2)  1 Si 1.71
O: 0.4759 0.7816 0.5063 (multiplicity 2)  1 Si 1.63
O: 0.4755 0.9867 0.7285 (multiplicity 2)  1 Si 1.67

Results
Calculated density, kg/m³: 3026
Total moment, μB per cell: 18.00

***

Energy above the most stable structure, in kJ/mol of atoms: run 1 0.0; run 2 1.5

***

Run 1
First-principles (PBE+U) data for a relaxed MgV2O4 crystal, as listed in the Materials Project database.

Unit cell a=6.0601 b=6.0601 c=14.8395 alpha=90.00 beta=90.00 gamma=120.00
Last column: nearest neighbours and their distance in Å.
Space group P3m1 (No. 156)
Unique sites:
Mg: 0.0000 0.0000 0.0000 (multiplicity 1)  4 O 1.99-2.07
Mg: 0.0000 0.0000 0.2430 (multiplicity 1)  4 O 2.00-2.03
Mg: 0.3333 0.6667 0.6613 (multiplicity 1)  4 O 2.01
Mg: 0.6667 0.3333 0.3285 (multiplicity 1)  4 O 1.98-2.01
Mg: 0.6667 0.3333 0.5778 (multiplicity 1)  4 O 2.00-2.03
Mg: 0.6667 0.3333 0.9563 (multiplicity 1)  6 O 2.08-2.13
V: 0.0000 0.0000 0.6189 (multiplicity 1)  6 O 2.05-2.06
V: 0.1673 0.3345 0.4525 (multiplicity 3)  6 O 2.05-2.07
V: 0.3314 0.1657 0.7869 (multiplicity 3)  6 O 2.05-2.07
V: 0.3333 0.6667 0.2858 (multiplicity 1)  6 O 2.05-2.06
V: 0.3333 0.6667 0.9111 (multiplicity 1)  4 O 1.94-1.97
V: 0.5018 0.0037 0.1200 (multiplicity 3)  6 O 2.02-2.11
O: 0.0000 0.0000 0.3796 (multiplicity 1)  1 Mg 2.03, 3 V 2.06
O: 0.0000 0.0000 0.8604 (multiplicity 1)  3 V 2.05, 1 Mg 2.07
O: 0.0285 0.5142 0.3730 (multiplicity 3)  1 Mg 2.01, 3 V 2.05-2.06
O: 0.1524 0.3049 0.7065 (multiplicity 3)  1 Mg 2.01, 3 V 2.05-2.06
O: 0.1807 0.3613 0.1998 (multiplicity 3)  1 Mg 2.00, 3 V 2.05-2.07
O: 0.3066 0.1533 0.5338 (multiplicity 3)  1 Mg 2.00, 3 V 2.05-2.07
O: 0.3333 0.6667 0.0419 (multiplicity 1)  4 V 1.94-2.11
O: 0.3333 0.6667 0.5259 (multiplicity 1)  1 Mg 2.01, 3 V 2.06
O: 0.3582 0.1791 0.0444 (multiplicity 3)  2 Mg 1.99-2.08, 2 V 2.02
O: 0.5092 0.0185 0.8658 (multiplicity 3)  3 V 1.97-2.07, 1 Mg 2.13
O: 0.6667 0.3333 0.1950 (multiplicity 1)  1 Mg 1.98, 3 V 2.06
O: 0.6667 0.3333 0.7147 (multiplicity 1)  1 Mg 2.03, 3 V 2.06

Results
Calculated density, kg/m³: 4015
Total moment, μB per cell: 8.00

***

Run 2
First-principles (PBE+U) data for a relaxed MgV2O4 crystal, as listed in the Materials Project database.

Unit cell a=6.0452 b=6.0553 c=10.4795 alpha=73.37 beta=73.31 gamma=60.08
Last column: nearest neighbours and their distance in Å.
Space group P1 (No. 1)
Unique sites:
Mg: 0.0000 0.0000 0.0000 (multiplicity 1)  4 O 1.99-2.01
Mg: 0.0633 0.5610 0.3123 (multiplicity 1)  6 O 2.08-2.12
Mg: 0.5001 0.4997 0.5001 (multiplicity 1)  4 O 1.98-2.01
Mg: 0.5628 0.0613 0.8124 (multiplicity 1)  6 O 2.08-2.12
V: 0.0635 0.0533 0.3120 (multiplicity 1)  6 O 2.03-2.10
V: 0.0704 0.5543 0.8119 (multiplicity 1)  6 O 2.03-2.09
V: 0.1328 0.1122 0.6221 (multiplicity 1)  4 O 1.95-1.97
V: 0.3171 0.3052 0.0595 (multiplicity 1)  6 O 2.00-2.13
V: 0.5636 0.5538 0.8119 (multiplicity 1)  6 O 2.02-2.11
V: 0.5710 0.0535 0.3118 (multiplicity 1)  6 O 2.03-2.09
V: 0.6330 0.6113 0.1224 (multiplicity 1)  4 O 1.95-1.98
V: 0.8183 0.8043 0.5596 (multiplicity 1)  6 O 2.00-2.12
O: 0.1612 0.7044 0.4354 (multiplicity 1)  2 Mg 1.99-2.09, 2 V 2.00-2.03
O: 0.1965 0.1823 0.4250 (multiplicity 1)  3 V 1.95-2.09, 1 Mg 2.11
O: 0.1996 0.2035 0.9352 (multiplicity 1)  2 Mg 1.99-2.08, 2 V 2.00-2.04
O: 0.2010 0.6627 0.9305 (multiplicity 1)  1 Mg 2.01, 3 V 2.04-2.09
O: 0.4335 0.4160 0.1886 (multiplicity 1)  3 V 1.95-2.09, 1 Mg 2.12
O: 0.4332 0.9410 0.1921 (multiplicity 1)  4 V 1.98-2.13
O: 0.4335 0.4332 0.7008 (multiplicity 1)  2 Mg 1.98-2.08, 2 V 2.02-2.03
O: 0.4629 0.9132 0.6895 (multiplicity 1)  3 V 1.96-2.08, 1 Mg 2.12
O: 0.6610 0.2066 0.9349 (multiplicity 1)  2 Mg 2.00-2.09, 2 V 2.01-2.02
O: 0.6965 0.6811 0.9255 (multiplicity 1)  3 V 1.95-2.09, 1 Mg 2.12
O: 0.6988 0.7044 0.4354 (multiplicity 1)  2 Mg 1.99-2.09, 2 V 2.00-2.03
O: 0.7036 0.1625 0.4302 (multiplicity 1)  1 Mg 2.01, 3 V 2.05-2.09
O: 0.9323 0.9167 0.6886 (multiplicity 1)  3 V 1.96-2.09, 1 Mg 2.12
O: 0.9330 0.9327 0.2008 (multiplicity 1)  2 Mg 1.99-2.08, 2 V 2.03
O: 0.9358 0.4414 0.6917 (multiplicity 1)  4 V 1.97-2.12
O: 0.9626 0.4154 0.1882 (multiplicity 1)  3 V 1.95-2.09, 1 Mg 2.12

Results
Calculated density, kg/m³: 4027
Total moment, μB per cell: 3.97
Largest piezoelectric modulus, C/m2: 0.23

***

Energy above the most stable structure, in kJ/mol of atoms: run 1 0.0; run 2 2.5